The following is a GGA-PBE calculation of an optimized crystal structure of AlPO4, from the Materials Project.

Lattice parameters (Å, degrees): 6.200 7.601 8.698 98.37 104.48 102.25
Space group P-1 (No. 2)
Unique sites:
Al  0.016  0.201  0.478 [2 per cell]
Al  0.238  0.812  0.081 [2 per cell]
Al  0.468  0.395  0.710 [2 per cell]
P  0.009  0.507  0.760 [2 per cell]
P  0.199  0.096  0.843 [2 per cell]
P  0.478  0.199  0.370 [2 per cell]
O  0.054  0.360  0.345 [2 per cell]
O  0.063  0.030  0.655 [2 per cell]
O  0.066  0.199  0.931 [2 per cell]
O  0.136  0.380  0.673 [2 per cell]
O  0.171  0.595  0.927 [2 per cell]
O  0.224  0.621  0.233 [2 per cell]
O  0.261  0.939  0.917 [2 per cell]
O  0.281  0.804  0.539 [2 per cell]
O  0.344  0.022  0.249 [2 per cell]
O  0.355  0.231  0.511 [2 per cell]
O  0.439  0.234  0.850 [2 per cell]
O  0.479  0.367  0.288 [2 per cell]

Calculated values
energy	-7.405	eV/atom
size of the total moment	0.000	μB per atom
energy of formation from the pure elements	-70.05	kcal/mol of atoms

The following is a GGA-PBE calculation of an optimized crystal structure of HfZrV4, from the Materials Project.

Lattice parameters (Å, degrees): 7.336 7.336 7.336 90.00 90.00 90.00
Space group F-43m (No. 216)
Unique sites:
Hf  0.000  0.000  0.000 [4 per cell]
Zr  0.250  0.250  0.250 [4 per cell]
V  0.125  0.125  0.625 [16 per cell]

Calculated values
energy	-9.099	eV/atom
size of the total moment	0.060	μB per atom
energy of formation from the pure elements	0.95	kcal/mol of atoms

> Which formula does entry 1 have?

AlPO4